(1)
VASP calculation (GGA+U) on AlCoO3 after structural relaxation.

Computed properties:
Total energy after the MP2020 corrections (eV/atom): -7.454
ρ (g cm⁻³): 5.05
E_tot (eV per atom): -6.715
Total moment (μB per formula unit): 0.0
E_form (eV/atom): -2.315

```
AlCoO3
1.0
2.414 1.394 4.361
-2.414 1.394 4.361
0.000 -2.787 4.361
Al Co O
2 2 6
Direct
0.147 0.147 0.147
0.853 0.853 0.853
0.345 0.345 0.345
0.655 0.655 0.655
0.055 0.446 0.752
0.248 0.945 0.554
0.446 0.752 0.055
0.554 0.248 0.945
0.752 0.055 0.446
0.945 0.554 0.248
```


(2)
VASP calculation (GGA+U) on Al2CoO4 after structural relaxation.

Computed properties:
Total energy after the MP2020 corrections (eV/atom): -7.780
ρ (g cm⁻³): 4.29
E_tot (eV per atom): -7.153
E_form (eV/atom): -2.867

```
Al2CoO4
1.0
4.091 4.091 0.000
0.000 -4.091 -4.091
-4.091 8.182 -4.091
O Al Co
16 8 4
Direct
0.603 0.397 0.132
0.103 0.339 0.632
0.118 0.882 0.147
0.397 0.603 0.868
0.618 0.382 0.647
0.882 0.118 0.853
0.103 0.897 0.632
0.339 0.103 0.368
0.897 0.661 0.368
0.382 0.618 0.353
0.603 0.839 0.132
0.839 0.603 0.868
0.897 0.103 0.368
0.397 0.161 0.868
0.161 0.397 0.132
0.661 0.897 0.632
0.250 0.250 0.750
0.750 0.750 0.750
0.250 0.250 0.250
0.750 0.250 0.750
0.000 0.000 0.500
0.750 0.750 0.250
0.500 0.500 0.000
0.250 0.750 0.250
0.313 0.687 0.562
0.687 0.313 0.438
0.187 0.813 0.938
0.813 0.187 0.062
```


(3)
VASP calculation (GGA+U) on Al2Co2O7 after structural relaxation.

Computed properties:
Total energy after the MP2020 corrections (eV/atom): -6.971
ρ (g cm⁻³): 4.78
E_tot (eV per atom): -6.236
Total moment (μB per formula unit): 2.0
E_form (eV/atom): -1.849

```
Al2Co2O7
1.0
0.000 4.619 4.619
4.619 0.000 4.619
4.619 4.619 0.000
Al Co O
4 4 14
Direct
0.000 0.000 0.000
0.000 0.000 0.500
0.000 0.500 0.000
0.500 0.000 0.000
0.000 0.500 0.500
0.500 0.000 0.500
0.500 0.500 0.000
0.500 0.500 0.500
0.125 0.125 0.125
0.158 0.158 0.592
0.158 0.592 0.158
0.158 0.592 0.592
0.408 0.408 0.842
0.408 0.842 0.408
0.408 0.842 0.842
0.592 0.158 0.158
0.592 0.158 0.592
0.592 0.592 0.158
0.842 0.408 0.408
0.842 0.408 0.842
0.842 0.842 0.408
0.875 0.875 0.875
```


Number 2 is which compound? Al2CoO4